# 1
Crystalline Zr3Bi10Br18 at its relaxed geometry, computed with PBE.

Output
Formation energy, eV per atom: -1.10
M_tot, μB per formula unit: 0.03

```
data_Zr3Bi10Br18
_chemical_formula_sum 'Zr6 Bi20 Br36'
_cell_length_a 14.9093
_cell_length_b 14.9093
_cell_length_c 11.6569
_cell_angle_alpha 90.00
_cell_angle_beta 90.00
_cell_angle_gamma 120.00
_symmetry_space_group_name_H-M 'P 63'
_symmetry_Int_Tables_number 173
_symmetry_space_group_name_Hall 'P 6c'
loop_
_atom_site_label
_atom_site_type_symbol
_atom_site_fract_x
_atom_site_fract_y
_atom_site_fract_z
_atom_site_occupancy
Zr1 Zr 0.1051 0.3356 0.0000 1
Bi1 Bi 0.0000 0.0000 0.1445 1
Bi2 Bi 0.1247 0.5250 0.5024 1
Bi3 Bi 0.2364 0.7123 0.6707 1
Bi4 Bi 0.2398 0.7150 0.3271 1
Br1 Br 0.0595 0.4247 0.1798 1
Br2 Br 0.0709 0.4469 0.8477 1
Br3 Br 0.0805 0.8618 0.1607 1
Br4 Br 0.0925 0.8063 0.4989 1
Br5 Br 0.0923 0.8405 0.8451 1
Br6 Br 0.1821 0.7019 0.0386 1
```

# 2
Crystalline CaBiCO4F at its relaxed geometry, computed with PBE.

Output
Formation energy, eV per atom: -2.52
Excess energy over the best structure of this formula in the dataset, eV per atom: 0.000
M_tot, μB per formula unit: 0.00

```
data_CaBiCO4F
_chemical_formula_sum 'Ca4 Bi4 C4 O16 F4'
_cell_length_a 5.409
_cell_length_b 13.826
_cell_length_c 5.421
_cell_angle_alpha 90.00
_cell_angle_beta 90.00
_cell_angle_gamma 90.00
_symmetry_space_group_name_H-M 'P c c a'
_symmetry_Int_Tables_number 54
_symmetry_space_group_name_Hall '-P 2a 2ac'
loop_
_atom_site_label
_atom_site_type_symbol
_atom_site_fract_x
_atom_site_fract_y
_atom_site_fract_z
_atom_site_occupancy
Ca1 Ca 0.000 0.099 0.250 1
Bi1 Bi 0.000 0.406 0.250 1
C1 C 0.000 0.243 0.750 1
O1 O 0.000 0.339 0.750 1
O2 O 0.149 0.199 0.604 1
O3 O 0.250 0.500 0.498 1
F1 F 0.250 0.000 0.487 1
```

# 3
Crystalline CaBiCO4F at its relaxed geometry, computed with PBE.

Output
Formation energy, eV per atom: -2.40
Excess energy over the best structure of this formula in the dataset, eV per atom: 0.122
M_tot, μB per formula unit: 0.01

```
data_CaBiCO4F
_chemical_formula_sum 'Ca2 Bi2 C2 O8 F2'
_cell_length_a 3.473
_cell_length_b 4.555
_cell_length_c 13.378
_cell_angle_alpha 90.00
_cell_angle_beta 90.00
_cell_angle_gamma 90.00
_symmetry_space_group_name_H-M 'P m m n'
_symmetry_Int_Tables_number 59
loop_
_symmetry_equiv_pos_as_xyz
'x,y,z'
'-x,-y,-z'
'-x+1/2,-y+1/2,z'
'x+1/2,y+1/2,-z'
'x+1/2,-y,-z'
'-x+1/2,y,z'
'-x,y+1/2,-z'
'x,-y+1/2,z'
loop_
_atom_site_label
_atom_site_type_symbol
_atom_site_fract_x
_atom_site_fract_y
_atom_site_fract_z
_atom_site_occupancy
Ca1 Ca 0.250 0.250 0.096 1
Bi1 Bi 0.250 0.250 0.404 1
C1 C 0.250 0.250 0.760 1
O1 O 0.250 0.005 0.806 1
O2 O 0.250 0.250 0.661 1
O3 O 0.250 0.750 0.494 1
F1 F 0.250 0.750 0.018 1
```

Which formula does entry 2 have?
CaBiCO4F

Among the records above, which one has the lowest M_tot?
number 2